Hf4AgPd | r²SCAN | optimized geometry

Cell and atoms, written as POSCAR:
```
Hf4AgPd
1.0
-2.808 1.376 0.829
-0.933 -0.038 -3.097
-4.573 -10.239 1.502
Hf Ag Pd
4 1 1
Cartesian
-2.649 -1.075 -0.878 Hf
-2.984 -6.682 0.980 Hf
-1.589 -3.557 0.522 Hf
-5.664 -7.826 0.113 Hf
0.000 0.000 0.000 Ag
-4.157 -4.450 -0.383 Pd
```

DFT total energy: -37.808 eV per atom
formation enthalpy at 0 K: -0.321 eV per atom

Ho2AgHg | r²SCAN | optimized geometry

Cell and atoms, written as POSCAR:
```
Ho2AgHg
1.0
0.739 -3.120 4.018
-3.044 -4.086 0.675
1.857 -4.737 -0.732
Ho Ag Hg
2 1 1
Cartesian
-0.112 -2.986 0.990 Ho
-0.337 -8.957 2.971 Ho
-0.224 -5.971 1.981 Ag
0.000 0.000 0.000 Hg
```

DFT total energy: -34.586 eV per atom
formation enthalpy at 0 K: -0.464 eV per atom

LaAgHg2 | r²SCAN | optimized geometry

Cell and atoms, written as POSCAR:
```
LaAgHg2
1.0
0.000 3.653 3.653
3.649 0.000 3.653
3.649 3.653 0.000
La Ag Hg
1 1 2
Cartesian
5.474 5.479 5.479 La
1.825 1.826 1.826 Ag
3.649 3.653 3.653 Hg
0.000 3.653 3.653 Hg
```

DFT total energy: -37.887 eV per atom
formation enthalpy at 0 K: -0.428 eV per atom

LuAgHg2 | r²SCAN | optimized geometry

Cell and atoms, written as POSCAR:
```
LuAgHg2
1.0
0.000 3.474 3.474
3.474 0.000 3.474
3.474 3.474 0.000
Lu Ag Hg
1 1 2
Cartesian
0.000 0.000 0.000 Lu
3.474 3.474 3.474 Ag
1.737 1.737 1.737 Hg
5.211 5.211 5.211 Hg
```

DFT total energy: -39.870 eV per atom
formation enthalpy at 0 K: -0.327 eV per atom